CaMg6Sb | PBE | relaxed

```
data_CaMg6Sb
_chemical_formula_sum 'Ca2 Mg12 Sb2'
_space_group_name_H-M_alt 'P 1'
_space_group_IT_number 1
_space_group_name_Hall 'P 1'
_cell_length_a 5.205
_cell_length_b 6.740
_cell_length_c 11.323
_cell_angle_alpha 90.00
_cell_angle_beta 90.00
_cell_angle_gamma 90.00
loop_
_atom_site_label
_atom_site_type_symbol
_atom_site_fract_x
_atom_site_fract_y
_atom_site_fract_z
Sb1 Sb 0.500 0.000 0.335
Sb2 Sb 0.500 0.500 0.835
Mg1 Mg 0.000 0.000 0.664
Mg2 Mg 0.000 0.500 0.164
Mg3 Mg 0.500 0.262 0.079
Mg4 Mg 0.500 0.500 0.332
Mg5 Mg 0.000 0.246 0.920
Mg6 Mg 0.000 0.254 0.420
Mg7 Mg 0.500 0.000 0.832
Mg8 Mg 0.500 0.738 0.079
Mg9 Mg 0.000 0.746 0.420
Mg10 Mg 0.000 0.754 0.920
Mg11 Mg 0.500 0.762 0.579
Mg12 Mg 0.500 0.238 0.579
Ca1 Ca 0.000 0.000 0.171
Ca2 Ca 0.000 0.500 0.671
```

Properties
Energy above the most stable polymorph in this dataset (eV/atom): 0.010

=====

Bi6P2O15 | PBE | relaxed

```
data_Bi6P2O15
_chemical_formula_sum 'Bi12 P4 O30'
_space_group_name_H-M_alt 'P 1'
_space_group_IT_number 1
_space_group_name_Hall 'P 1'
_cell_length_a 11.578
_cell_length_b 11.578
_cell_length_c 5.871
_cell_angle_alpha 90.00
_cell_angle_beta 90.00
_cell_angle_gamma 116.32
loop_
_atom_site_label
_atom_site_type_symbol
_atom_site_fract_x
_atom_site_fract_y
_atom_site_fract_z
Bi1 Bi 0.048 0.178 0.594
Bi2 Bi 0.107 0.693 0.000
Bi3 Bi 0.178 0.048 0.094
Bi4 Bi 0.258 0.407 0.997
Bi5 Bi 0.307 0.893 0.500
Bi6 Bi 0.407 0.258 0.497
Bi7 Bi 0.593 0.742 0.497
Bi8 Bi 0.693 0.107 0.500
Bi9 Bi 0.742 0.593 0.997
Bi10 Bi 0.822 0.952 0.094
Bi11 Bi 0.893 0.307 0.000
Bi12 Bi 0.952 0.822 0.594
P1 P 0.218 0.540 0.476
P2 P 0.460 0.782 0.976
P3 P 0.540 0.218 0.976
P4 P 0.782 0.460 0.476
O1 O 0.000 0.000 0.285
O2 O 0.000 0.000 0.785
O3 O 0.063 0.258 0.950
O4 O 0.133 0.438 0.294
O5 O 0.145 0.832 0.721
O6 O 0.155 0.499 0.715
O7 O 0.168 0.855 0.221
O8 O 0.222 0.670 0.400
O9 O 0.258 0.063 0.450
O10 O 0.264 0.272 0.727
O11 O 0.272 0.264 0.227
O12 O 0.330 0.778 0.900
O13 O 0.353 0.542 0.473
O14 O 0.438 0.133 0.794
O15 O 0.458 0.647 0.973
O16 O 0.499 0.155 0.215
O17 O 0.501 0.845 0.215
O18 O 0.542 0.353 0.973
O19 O 0.562 0.867 0.794
O20 O 0.647 0.458 0.473
O21 O 0.670 0.222 0.900
O22 O 0.728 0.736 0.227
O23 O 0.736 0.728 0.727
O24 O 0.742 0.937 0.450
O25 O 0.778 0.330 0.400
O26 O 0.832 0.145 0.221
O27 O 0.845 0.501 0.715
O28 O 0.855 0.168 0.721
O29 O 0.867 0.562 0.294
O30 O 0.937 0.742 0.950
```

Properties
Crystal system: orthorhombic
Space group: Ccc2 (37)
Energy above the most stable polymorph in this dataset (eV/atom): 0.000

=====

Mg2Si | PBE | relaxed

```
data_Mg2Si
_chemical_formula_sum 'Mg8 Si4'
_space_group_name_H-M_alt 'P 1'
_space_group_IT_number 1
_space_group_name_Hall 'P 1'
_cell_length_a 5.165
_cell_length_b 5.492
_cell_length_c 8.455
_cell_angle_alpha 90.00
_cell_angle_beta 101.42
_cell_angle_gamma 90.00
loop_
_atom_site_label
_atom_site_type_symbol
_atom_site_fract_x
_atom_site_fract_y
_atom_site_fract_z
Mg1 Mg 0.004 0.000 0.095
Mg2 Mg 0.054 0.522 0.287
Mg3 Mg 0.348 0.013 0.492
Mg4 Mg 0.495 0.800 0.878
Mg5 Mg 0.505 0.300 0.122
Mg6 Mg 0.652 0.513 0.508
Mg7 Mg 0.946 0.022 0.713
Mg8 Mg 0.996 0.500 0.905
Si1 Si 0.189 0.565 0.618
Si2 Si 0.492 0.284 0.792
Si3 Si 0.508 0.784 0.208
Si4 Si 0.811 0.065 0.382
```

Properties
Crystal system: monoclinic
Final energy (eV/atom): -2.886
Space group: P2_1 (4)

=====

no.,total magnetic moment (μB per cell)
1,0.01
2,3.85
3,0.04